[1]
The following is a DFT calculation (GGA+U) of a geometry-optimized MgV2CdO6 structure.

Properties
* energy above the most stable polymorph in this dataset: 44 meV/atom

Cell lengths 3.930, 5.239, 7.051 Å; angles 115.10, 90.00, 112.03 degrees
Element x y z (fractional)
Mg1 0.547 0.094 0.768
V1 0.201 0.402 0.612
V2 0.827 0.654 0.389
Cd1 0.021 0.042 0.052
O1 0.038 0.076 0.716
O2 0.988 0.977 0.336
O3 0.366 0.732 0.863
O4 0.668 0.336 0.108
O5 0.315 0.631 0.442
O6 0.699 0.399 0.571

[2]
The following is a DFT calculation (GGA+U) of a geometry-optimized KMgScMo2O8 structure.

Properties
* energy above the most stable polymorph in this dataset: 9 meV/atom

Cell lengths 5.894, 5.894, 9.938 Å; angles 90.00, 90.00, 120.00 degrees
Element x y z (fractional)
K1 0.000 0.000 0.376
Mg1 0.000 0.000 0.747
Sc1 0.000 0.000 0.015
Mo1 0.333 0.667 0.203
Mo2 0.667 0.333 0.814
O1 0.304 0.152 0.873
O2 0.848 0.152 0.873
O3 0.848 0.696 0.873
O4 0.164 0.836 0.149
O5 0.333 0.667 0.380
O6 0.667 0.333 0.632
O7 0.164 0.328 0.149
O8 0.672 0.836 0.149

[3]
The following is a DFT calculation (GGA+U) of a geometry-optimized Li7Mn5O12 structure.

Properties
* energy above the most stable polymorph in this dataset: 244 meV/atom

Cell lengths 3.009, 5.100, 14.602 Å; angles 87.59, 86.90, 86.42 degrees
Element x y z (fractional)
Li1 0.009 0.345 0.656
Li2 0.503 0.171 0.341
Li3 0.000 0.000 0.000
Li4 0.497 0.829 0.659
Li5 0.991 0.655 0.344
Li6 0.500 0.500 0.000
Li7 0.500 0.500 0.500
Mn1 0.997 0.666 0.832
Mn2 0.000 0.000 0.500
Mn3 0.003 0.334 0.168
Mn4 0.496 0.166 0.833
Mn5 0.504 0.834 0.167
O1 0.471 0.490 0.756
O2 0.993 0.309 0.421
O3 0.471 0.158 0.089
O4 0.975 0.994 0.759
O5 0.531 0.856 0.428
O6 0.975 0.658 0.089
O7 0.469 0.144 0.572
O8 0.025 0.006 0.241
O9 0.529 0.842 0.911
O10 0.007 0.691 0.579
O11 0.529 0.510 0.244
O12 0.025 0.342 0.911

[4]
The following is a DFT calculation (GGA+U) of a geometry-optimized LiMnP4O12 structure.

Properties
* energy above the most stable polymorph in this dataset: 92 meV/atom

Cell lengths 4.940, 7.109, 7.531 Å; angles 113.54, 83.00, 110.10 degrees
Element x y z (fractional)
Li1 0.040 0.725 0.548
Mn1 0.999 0.005 0.004
P1 0.562 0.199 0.792
P2 0.439 0.801 0.206
P3 0.565 0.398 0.214
P4 0.435 0.603 0.785
O1 0.246 0.564 0.628
O2 0.536 0.611 0.206
O3 0.759 0.457 0.375
O4 0.744 0.765 0.802
O5 0.718 0.306 0.007
O6 0.228 0.859 0.357
O7 0.281 0.696 0.993
O8 0.275 0.025 0.805
O9 0.767 0.127 0.645
O10 0.462 0.388 0.787
O11 0.716 0.979 0.196
O12 0.263 0.234 0.199

[5]
The following is a DFT calculation (GGA+U) of a geometry-optimized ZnCuNiP2O9 structure.

Cell lengths 6.213, 7.153, 14.238 Å; angles 90.02, 89.99, 90.01 degrees
Element x y z (fractional)
Zn1 0.750 0.884 0.778
Zn2 0.750 0.616 0.277
Zn3 0.250 0.117 0.222
Zn4 0.250 0.383 0.723
Cu1 0.750 0.355 0.879
Cu2 0.250 0.646 0.121
Cu3 0.250 0.855 0.622
Cu4 0.750 0.145 0.378
Ni1 0.500 0.000 0.000
Ni2 0.500 0.500 0.500
Ni3 0.000 0.500 0.500
Ni4 0.000 0.000 0.000
P1 0.250 0.364 0.931
P2 0.750 0.636 0.070
P3 0.750 0.864 0.570
P4 0.250 0.136 0.430
P5 0.750 0.386 0.698
P6 0.250 0.614 0.302
P7 0.250 0.885 0.802
P8 0.750 0.115 0.198
O1 0.038 0.608 0.360
O2 0.538 0.392 0.640
O3 0.962 0.108 0.140
O4 0.462 0.892 0.860
O5 0.962 0.392 0.640
O6 0.462 0.608 0.360
O7 0.038 0.892 0.860
O8 0.538 0.108 0.140
O9 0.250 0.328 0.480
O10 0.750 0.672 0.520
O11 0.750 0.829 0.020
O12 0.250 0.172 0.980
O13 0.750 0.134 0.948
O14 0.250 0.864 0.051
O15 0.250 0.637 0.549
O16 0.750 0.362 0.451
O17 0.750 0.204 0.759
O18 0.250 0.796 0.240
O19 0.250 0.703 0.741
O20 0.750 0.298 0.259
O21 0.436 0.128 0.357
O22 0.936 0.872 0.643
O23 0.564 0.629 0.143
O24 0.064 0.372 0.857
O25 0.564 0.872 0.643
O26 0.064 0.128 0.357
O27 0.436 0.372 0.857
O28 0.936 0.629 0.143
O29 0.750 0.954 0.273
O30 0.250 0.046 0.727
O31 0.250 0.454 0.226
O32 0.750 0.547 0.773
O33 0.750 0.021 0.500
O34 0.250 0.978 0.500
O35 0.250 0.522 0.000
O36 0.750 0.478 0.000

[6]
The following is a DFT calculation (GGA+U) of a geometry-optimized Ba2EuCoCu2O7 structure.

Cell lengths 3.902, 3.928, 11.985 Å; angles 90.00, 90.00, 90.00 degrees
Element x y z (fractional)
Ba1 0.500 0.500 0.185
Ba2 0.500 0.500 0.815
Eu1 0.500 0.500 0.500
Co1 0.000 0.000 0.000
Cu1 0.000 0.000 0.358
Cu2 0.000 0.000 0.642
O1 0.500 0.000 0.372
O2 0.500 0.000 0.628
O3 0.000 0.000 0.150
O4 0.000 0.000 0.850
O5 0.000 0.500 0.372
O6 0.000 0.500 0.628
O7 0.000 0.500 0.000

[7]
The following is a DFT calculation (GGA+U) of a geometry-optimized FePH3CO7 structure.

Cell lengths 5.113, 7.718, 7.790 Å; angles 96.67, 107.92, 102.37 degrees
Element x y z (fractional)
Fe1 0.451 0.708 0.741
Fe2 0.549 0.292 0.259
P1 0.853 0.704 0.459
P2 0.147 0.296 0.541
H1 0.749 0.963 0.396
H2 0.251 0.037 0.604
H3 0.275 0.364 0.934
H4 0.725 0.636 0.066
H5 0.933 0.677 0.948
H6 0.067 0.323 0.052
C1 0.621 0.052 0.972
C2 0.379 0.948 0.028
O1 0.704 0.676 0.597
O2 0.296 0.324 0.403
O3 0.732 0.623 0.940
O4 0.268 0.377 0.060
O5 0.262 0.785 0.945
O6 0.738 0.215 0.055
O7 0.742 0.841 0.334
O8 0.258 0.159 0.666
O9 0.805 0.534 0.316
O10 0.195 0.466 0.684
O11 0.684 0.968 0.847
O12 0.316 0.032 0.153
O13 0.181 0.795 0.555
O14 0.819 0.205 0.445

[8]
The following is a DFT calculation (GGA+U) of a geometry-optimized MgMn6O6F6 structure.

Properties
* energy above the most stable polymorph in this dataset: 37 meV/atom

Cell lengths 5.305, 14.596, 3.044 Å; angles 90.00, 90.00, 87.53 degrees
Element x y z (fractional)
Mg1 0.877 0.842 0.500
Mn1 0.019 0.029 0.000
Mn2 0.121 0.333 0.000
Mn3 0.950 0.645 0.000
Mn4 0.560 0.178 0.500
Mn5 0.535 0.490 0.500
Mn6 0.353 0.817 0.500
O1 0.275 0.267 0.500
O2 0.120 0.945 0.500
O3 0.099 0.780 0.000
O4 0.369 0.434 0.000
O5 0.692 0.551 0.000
O6 0.843 0.086 0.500
F1 0.191 0.604 0.500
F2 0.372 0.106 0.000
F3 0.743 0.243 0.000
F4 0.634 0.881 0.000
F5 0.912 0.390 0.500
F6 0.683 0.729 0.500

[9]
The following is a DFT calculation (GGA+U) of a geometry-optimized MgMn5O8 structure.

Properties
* energy above the most stable polymorph in this dataset: 85 meV/atom

Cell lengths 6.206, 6.199, 6.107 Å; angles 90.67, 61.70, 58.56 degrees
Element x y z (fractional)
Mg1 0.500 0.000 0.500
Mn1 0.000 0.500 0.500
Mn2 0.000 0.000 0.000
Mn3 0.500 0.000 0.000
Mn4 0.000 0.500 0.000
Mn5 0.500 0.500 0.000
O1 0.450 0.249 0.794
O2 0.011 0.270 0.769
O3 0.501 0.780 0.770
O4 0.956 0.747 0.796
O5 0.044 0.253 0.204
O6 0.499 0.220 0.230
O7 0.989 0.730 0.231
O8 0.550 0.751 0.206

[10]
The following is a DFT calculation (GGA+U) of a geometry-optimized MnOF structure.

Cell lengths 3.075, 4.813, 14.262 Å; angles 86.03, 90.00, 90.00 degrees
Element x y z (fractional)
Mn1 0.000 0.093 0.835
Mn2 0.000 0.907 0.165
Mn3 0.000 0.000 0.500
Mn4 0.500 0.500 0.000
Mn5 0.500 0.455 0.333
Mn6 0.500 0.545 0.667
O1 0.500 0.752 0.103
O2 0.000 0.720 0.601
O3 0.000 0.637 0.268
O4 0.000 0.280 0.399
O5 0.000 0.363 0.732
O6 0.500 0.248 0.897
F1 0.500 0.801 0.436
F2 0.500 0.879 0.775
F3 0.000 0.742 0.936
F4 0.000 0.258 0.064
F5 0.500 0.121 0.225
F6 0.500 0.199 0.564

[11]
The following is a DFT calculation (GGA+U) of a geometry-optimized BaMo4O7 structure.

Cell lengths 6.816, 6.816, 11.301 Å; angles 90.00, 90.00, 120.00 degrees
Element x y z (fractional)
Ba1 0.667 0.333 0.460
Ba2 0.333 0.667 0.960
Mo1 0.813 0.187 0.183
Mo2 0.626 0.813 0.683
Mo3 0.187 0.374 0.683
Mo4 0.813 0.626 0.183
Mo5 0.374 0.187 0.183
Mo6 0.187 0.813 0.683
Mo7 0.000 0.000 0.423
Mo8 0.000 0.000 0.923
O1 0.858 0.142 0.011
O2 0.716 0.858 0.511
O3 0.142 0.284 0.511
O4 0.858 0.716 0.011
O5 0.284 0.142 0.011
O6 0.142 0.858 0.511
O7 0.000 0.000 0.745
O8 0.000 0.000 0.245
O9 0.524 0.476 0.280
O10 0.049 0.524 0.780
O11 0.476 0.951 0.780
O12 0.524 0.049 0.280
O13 0.476 0.524 0.780
O14 0.951 0.476 0.280

[12]
The following is a DFT calculation (GGA+U) of a geometry-optimized La2FeCoO6 structure.

Cell lengths 5.501, 5.566, 9.666 Å; angles 55.64, 90.00, 90.00 degrees
Element x y z (fractional)
La1 0.977 0.243 0.751
La2 0.477 0.757 0.749
La3 0.023 0.757 0.249
La4 0.523 0.243 0.251
Fe1 0.000 0.500 0.000
Fe2 0.500 0.500 0.500
Co1 0.000 0.000 0.500
Co2 0.500 0.000 0.000
O1 0.512 0.332 0.744
O2 0.012 0.668 0.756
O3 0.488 0.668 0.256
O4 0.988 0.332 0.244
O5 0.728 0.179 0.541
O6 0.228 0.821 0.959
O7 0.278 0.232 0.042
O8 0.778 0.768 0.458
O9 0.272 0.821 0.459
O10 0.772 0.179 0.041
O11 0.722 0.768 0.958
O12 0.222 0.232 0.542

no.,total DFT energy (no corrections) (eV per atom),magnetization (μB/atom),ΔE_f (eV per atom)
1,-6.5921,0.2001,-2.31
2,-6.7348,0.1538,-2.24
3,-6.1609,0.3278,-1.91
4,-7.0499,0.2222,-2.48
5,-5.9934,0.1913,-1.87
6,-6.5133,0.6564,-2.08
7,-6.4814,0.3846,-1.80
8,-6.6785,1.3659,-2.42
9,-7.3173,1.5007,-2.09
10,-6.7356,1.3334,-2.33
11,-6.6325,0.8333,-1.44
12,-7.4145,0.6999,-2.70